1.
TiH after structural relaxation. Source: Materials Project, functional r2SCAN.

POSCAR file:
```
TiH
1.0
4.168 0.000 0.000
0.000 4.168 0.000
0.000 0.000 4.568
Ti H
4 4
Direct
0.250 0.250 0.250 Ti
0.250 0.750 0.750 Ti
0.750 0.750 0.250 Ti
0.750 0.250 0.750 Ti
0.500 0.500 0.000 H
0.000 0.000 0.500 H
0.500 0.500 0.500 H
0.000 0.000 0.000 H
```

=====

2.
KSb2F7, optimized geometry, DFT r2SCAN; SG = P2_1/c
1.0
10.429 0.000 0.000
0.000 7.558 0.000
-1.686 0.000 8.270
K Sb F
4 8 28
Direct
0.070 0.165 0.330 K
0.070 0.335 0.830 K
0.930 0.665 0.170 K
0.930 0.835 0.670 K
0.250 0.687 0.487 Sb
0.250 0.813 0.987 Sb
0.401 0.179 0.661 Sb
0.401 0.321 0.161 Sb
0.599 0.679 0.839 Sb
0.599 0.821 0.339 Sb
0.750 0.187 0.013 Sb
0.750 0.313 0.513 Sb
0.093 0.660 0.959 F
0.093 0.840 0.459 F
0.125 0.511 0.378 F
0.125 0.989 0.878 F
0.197 0.619 0.688 F
0.197 0.881 0.188 F
0.214 0.212 0.636 F
0.214 0.288 0.136 F
0.345 0.580 0.189 F
0.345 0.920 0.689 F
0.375 0.108 0.433 F
0.375 0.392 0.933 F
0.381 0.071 0.055 F
0.381 0.429 0.555 F
0.619 0.571 0.445 F
0.619 0.929 0.945 F
0.625 0.608 0.067 F
0.625 0.892 0.567 F
0.655 0.080 0.311 F
0.655 0.420 0.811 F
0.786 0.712 0.864 F
0.786 0.788 0.364 F
0.803 0.119 0.812 F
0.803 0.381 0.312 F
0.875 0.011 0.122 F
0.875 0.489 0.622 F
0.907 0.160 0.541 F
0.907 0.340 0.041 F

=====

3.
GaNi2Pt, optimized geometry, DFT r2SCAN; SG = P4/mmm
1.0
3.662 0.000 0.000
0.000 3.662 0.000
0.000 0.000 3.729
Ga Ni Pt
1 2 1
Direct
0.000 0.000 0.000 Ga
0.000 0.500 0.500 Ni
0.500 0.000 0.500 Ni
0.500 0.500 0.000 Pt

=====

4.
Zn3CdS4, optimized geometry, DFT r2SCAN; SG = P-43m
1.0
5.511 0.000 0.000
0.000 5.511 0.000
0.000 0.000 5.511
Zn Cd S
3 1 4
Direct
0.000 0.000 0.500 Zn
0.000 0.500 0.000 Zn
0.500 0.000 0.000 Zn
0.500 0.500 0.500 Cd
0.237 0.237 0.763 S
0.237 0.763 0.237 S
0.763 0.237 0.237 S
0.763 0.763 0.763 S

=====

5.
Pr2AlGe6, optimized geometry, DFT r2SCAN; SG = C2/m
1.0
4.165 -4.398 0.000
4.165 4.398 0.000
-2.165 0.000 10.553
Pr Al Ge
4 2 12
Direct
0.161 0.666 0.664 Pr
0.334 0.839 0.336 Pr
0.666 0.161 0.664 Pr
0.839 0.334 0.336 Pr
0.200 0.200 0.805 Al
0.800 0.800 0.195 Al
0.068 0.492 0.113 Ge
0.070 0.070 0.113 Ge
0.146 0.146 0.564 Ge
0.362 0.362 0.419 Ge
0.489 0.489 0.113 Ge
0.492 0.068 0.113 Ge
0.508 0.932 0.887 Ge
0.511 0.511 0.887 Ge
0.638 0.638 0.581 Ge
0.854 0.854 0.436 Ge
0.930 0.930 0.887 Ge
0.932 0.508 0.887 Ge

=====

6.
YPb2, optimized geometry, DFT r2SCAN; SG = Cmcm
1.0
2.270 -8.406 0.000
2.270 8.406 0.000
0.000 0.000 4.484
Y Pb
2 4
Direct
0.097 0.903 0.750 Y
0.903 0.097 0.250 Y
0.252 0.748 0.250 Pb
0.434 0.566 0.750 Pb
0.566 0.434 0.250 Pb
0.748 0.252 0.750 Pb

=====

7.
CeAs2Pd3, optimized geometry, DFT r2SCAN; SG = C2/m
1.0
8.387 -2.067 0.000
8.387 2.067 0.000
-3.099 0.000 9.541
Ce As Pd
3 6 9
Direct
0.000 0.000 0.000 Ce
0.156 0.156 0.703 Ce
0.844 0.844 0.297 Ce
0.199 0.199 0.128 As
0.364 0.364 0.545 As
0.463 0.463 0.216 As
0.537 0.537 0.784 As
0.636 0.636 0.455 As
0.801 0.801 0.872 As
0.045 0.045 0.333 Pd
0.221 0.221 0.392 Pd
0.323 0.323 0.034 Pd
0.374 0.374 0.797 Pd
0.500 0.500 0.500 Pd
0.626 0.626 0.203 Pd
0.677 0.677 0.966 Pd
0.779 0.779 0.608 Pd
0.955 0.955 0.667 Pd

=====

8.
ReTe2Br4, optimized geometry, DFT r2SCAN; SG = I-4
1.0
-5.778 5.778 7.207
5.778 -5.778 7.207
5.778 5.778 -7.207
Re Te Br
4 8 16
Direct
0.562 0.212 0.417 Re
0.788 0.204 0.350 Re
0.796 0.145 0.583 Re
0.855 0.438 0.650 Re
0.032 0.300 0.627 Te
0.072 0.655 0.974 Te
0.345 0.319 0.417 Te
0.595 0.968 0.267 Te
0.672 0.405 0.373 Te
0.681 0.098 0.026 Te
0.700 0.328 0.733 Te
0.902 0.928 0.583 Te
0.013 0.607 0.156 Br
0.058 0.649 0.699 Br
0.143 0.987 0.595 Br
0.305 0.591 0.054 Br
0.329 0.116 0.121 Br
0.351 0.049 0.409 Br
0.393 0.548 0.405 Br
0.409 0.462 0.713 Br
0.452 0.857 0.844 Br
0.538 0.251 0.946 Br
0.640 0.942 0.591 Br
0.749 0.695 0.287 Br
0.792 0.671 0.787 Br
0.884 0.005 0.213 Br
0.951 0.360 0.301 Br
0.995 0.208 0.879 Br

=====

9.
Pr2ReC2, optimized geometry, DFT r2SCAN; SG = Pnma
1.0
6.728 0.000 0.000
0.000 5.414 0.000
0.000 0.000 10.304
Pr Re C
8 4 8
Direct
0.026 0.250 0.212 Pr
0.190 0.250 0.550 Pr
0.310 0.750 0.050 Pr
0.474 0.750 0.712 Pr
0.526 0.250 0.288 Pr
0.690 0.250 0.950 Pr
0.810 0.750 0.450 Pr
0.974 0.750 0.788 Pr
0.232 0.250 0.856 Re
0.268 0.750 0.356 Re
0.732 0.250 0.644 Re
0.768 0.750 0.144 Re
0.032 0.750 0.242 C
0.191 0.750 0.533 C
0.309 0.250 0.033 C
0.468 0.250 0.742 C
0.532 0.750 0.258 C
0.691 0.750 0.967 C
0.809 0.250 0.467 C
0.968 0.250 0.758 C

=====

10.
Hf2MoPt, optimized geometry, DFT r2SCAN; SG = Fm-3m
1.0
0.000 3.286 3.286
3.286 0.000 3.286
3.286 3.286 0.000
Hf Mo Pt
2 1 1
Direct
0.250 0.250 0.250 Hf
0.750 0.750 0.750 Hf
0.000 0.000 0.000 Mo
0.500 0.500 0.500 Pt

=====

11.
Ba2CoO4, optimized geometry, DFT r2SCAN; SG = Pnma
1.0
7.680 0.000 0.000
0.000 5.887 0.000
0.000 0.000 10.508
Ba Co O
8 4 16
Direct
0.011 0.250 0.189 Ba
0.148 0.750 0.421 Ba
0.352 0.250 0.921 Ba
0.489 0.750 0.689 Ba
0.511 0.250 0.311 Ba
0.648 0.750 0.079 Ba
0.852 0.250 0.579 Ba
0.989 0.750 0.811 Ba
0.225 0.750 0.078 Co
0.275 0.250 0.578 Co
0.725 0.750 0.422 Co
0.775 0.250 0.922 Co
0.007 0.250 0.915 O
0.184 0.002 0.649 O
0.184 0.498 0.649 O
0.189 0.250 0.417 O
0.311 0.750 0.917 O
0.316 0.502 0.149 O
0.316 0.998 0.149 O
0.493 0.750 0.415 O
0.507 0.250 0.585 O
0.684 0.002 0.851 O
0.684 0.498 0.851 O
0.689 0.250 0.083 O
0.811 0.750 0.583 O
0.816 0.502 0.351 O
0.816 0.998 0.351 O
0.993 0.750 0.085 O

=====

12.
Sr8Ga7, optimized geometry, DFT r2SCAN; SG = P2_13
1.0
12.444 0.000 0.000
0.000 12.444 0.000
0.000 0.000 12.444
Sr Ga
32 28
Direct
0.005 0.201 0.942 Sr
0.022 0.204 0.438 Sr
0.058 0.505 0.299 Sr
0.062 0.978 0.704 Sr
0.185 0.815 0.315 Sr
0.187 0.687 0.813 Sr
0.201 0.942 0.005 Sr
0.204 0.438 0.022 Sr
0.296 0.562 0.522 Sr
0.299 0.058 0.505 Sr
0.313 0.313 0.313 Sr
0.315 0.185 0.815 Sr
0.438 0.022 0.204 Sr
0.442 0.495 0.799 Sr
0.478 0.796 0.938 Sr
0.495 0.799 0.442 Sr
0.505 0.299 0.058 Sr
0.522 0.296 0.562 Sr
0.558 0.995 0.701 Sr
0.562 0.522 0.296 Sr
0.685 0.685 0.685 Sr
0.687 0.813 0.187 Sr
0.701 0.558 0.995 Sr
0.704 0.062 0.978 Sr
0.796 0.938 0.478 Sr
0.799 0.442 0.495 Sr
0.813 0.187 0.687 Sr
0.815 0.315 0.185 Sr
0.938 0.478 0.796 Sr
0.942 0.005 0.201 Sr
0.978 0.704 0.062 Sr
0.995 0.701 0.558 Sr
0.067 0.433 0.567 Ga
0.074 0.255 0.694 Ga
0.080 0.250 0.187 Ga
0.187 0.080 0.250 Ga
0.194 0.426 0.745 Ga
0.245 0.306 0.574 Ga
0.250 0.187 0.080 Ga
0.250 0.813 0.580 Ga
0.255 0.694 0.074 Ga
0.306 0.574 0.245 Ga
0.313 0.920 0.750 Ga
0.420 0.750 0.687 Ga
0.426 0.745 0.194 Ga
0.433 0.567 0.067 Ga
0.567 0.067 0.433 Ga
0.574 0.245 0.306 Ga
0.580 0.250 0.813 Ga
0.687 0.420 0.750 Ga
0.694 0.074 0.255 Ga
0.745 0.194 0.426 Ga
0.750 0.313 0.920 Ga
0.750 0.687 0.420 Ga
0.755 0.806 0.926 Ga
0.806 0.926 0.755 Ga
0.813 0.580 0.250 Ga
0.920 0.750 0.313 Ga
0.926 0.755 0.806 Ga
0.933 0.933 0.933 Ga

=====

13.
Mg3Fe2H4Se6O20, optimized geometry, DFT r2SCAN; SG = P-1
1.0
6.505 0.000 0.000
1.870 7.767 0.000
1.662 0.262 8.589
Mg Fe H Se O
3 2 4 6 20
Direct
0.000 0.000 0.000 Mg
0.190 0.325 0.730 Mg
0.810 0.675 0.270 Mg
0.364 0.604 0.880 Fe
0.636 0.396 0.120 Fe
0.180 0.532 0.452 H
0.366 0.365 0.437 H
0.634 0.635 0.563 H
0.820 0.468 0.548 H
0.168 0.292 0.134 Se
0.262 0.925 0.626 Se
0.299 0.785 0.228 Se
0.701 0.215 0.772 Se
0.738 0.075 0.374 Se
0.832 0.708 0.866 Se
0.047 0.946 0.774 O
0.083 0.568 0.836 O
0.102 0.688 0.314 O
0.168 0.203 0.964 O
0.241 0.427 0.509 O
0.270 0.797 0.032 O
0.331 0.439 0.072 O
0.365 0.093 0.647 O
0.435 0.752 0.703 O
0.477 0.381 0.764 O
0.523 0.619 0.236 O
0.565 0.248 0.297 O
0.635 0.907 0.353 O
0.669 0.561 0.928 O
0.730 0.203 0.968 O
0.759 0.573 0.491 O
0.832 0.797 0.036 O
0.898 0.312 0.686 O
0.917 0.432 0.164 O
0.953 0.054 0.226 O

=====

14.
LuAlSi, optimized geometry, DFT r2SCAN; SG = Cmcm
1.0
1.972 -5.014 0.000
1.972 5.014 0.000
0.000 0.000 5.586
Lu Al Si
2 2 2
Direct
0.195 0.805 0.750 Lu
0.805 0.195 0.250 Lu
0.500 0.500 0.000 Al
0.500 0.500 0.500 Al
0.101 0.899 0.250 Si
0.899 0.101 0.750 Si

=====

15.
Ge3Bi2O9, optimized geometry, DFT r2SCAN; SG = P6_3/m
1.0
6.962 0.000 0.000
-3.481 6.029 0.000
0.000 0.000 9.927
Ge Bi O
6 4 18
Direct
0.075 0.781 0.250 Ge
0.219 0.293 0.250 Ge
0.293 0.075 0.750 Ge
0.707 0.925 0.250 Ge
0.781 0.707 0.750 Ge
0.925 0.219 0.750 Ge
0.333 0.667 0.530 Bi
0.333 0.667 0.970 Bi
0.667 0.333 0.030 Bi
0.667 0.333 0.470 Bi
0.066 0.798 0.750 O
0.076 0.647 0.103 O
0.076 0.647 0.397 O
0.202 0.269 0.750 O
0.269 0.066 0.250 O
0.353 0.429 0.103 O
0.353 0.429 0.397 O
0.429 0.076 0.603 O
0.429 0.076 0.897 O
0.571 0.924 0.103 O
0.571 0.924 0.397 O
0.647 0.571 0.603 O
0.647 0.571 0.897 O
0.731 0.934 0.750 O
0.798 0.731 0.250 O
0.924 0.353 0.603 O
0.924 0.353 0.897 O
0.934 0.202 0.250 O

=====

| no. | total moment (μB/f.u.) | formation energy (eV/atom) | V (A^3/atom) |
| --- | --- | --- | --- |
| 1 | 0.00 | -0.4102 | 9.92 |
| 2 | 0.00 | -2.6483 | 16.30 |
| 3 | 0.95 | -0.3933 | 12.50 |
| 4 | 0.00 | -0.8976 | 20.92 |
| 5 | 0.00 | -0.4878 | 21.48 |
| 6 | 0.00 | -0.5040 | 28.53 |
| 7 | 0.97 | -0.8920 | 18.38 |
| 8 | 0.00 | -0.4128 | 34.37 |
| 9 | 0.00 | -0.3597 | 18.77 |
| 10 | 0.00 | -0.7021 | 17.74 |
| 11 | 5.00 | -2.2478 | 16.97 |
| 12 | 2.97 | -0.4603 | 32.12 |
| 13 | 10.00 | -1.4164 | 12.40 |
| 14 | 0.00 | -0.6339 | 18.41 |
| 15 | 0.00 | -1.6619 | 14.88 |